VASP calculation (PBE) on BaS5O8 after structural relaxation.

Properties
The space group is Pnma, No. 62. The calculated formation energy is -1081 meV/atom. The value obtained for the total energy is -5.130 eV per atom. The value obtained for the energy with MP2020 corrections is -77.32 eV per formula unit. As for the total moment: 1.28 μB per cell. As for the distance to the lowest polymorph of the same formula: 0.066 eV/atom.

Unit cell a=5.389 b=10.469 c=22.288 alpha=90.00 beta=90.00 gamma=90.00
Positions (direct):
O 0.925 0.005 0.578
S 0.707 0.908 0.818
S 0.188 0.989 0.592
O 0.318 0.110 0.604
S 0.812 0.011 0.408
O 0.177 0.098 0.053
O 0.575 0.505 0.078
O 0.177 0.402 0.053
S 0.312 0.011 0.092
S 0.312 0.489 0.092
S 0.688 0.989 0.908
O 0.682 0.610 0.396
O 0.366 0.250 0.826
O 0.323 0.598 0.553
S 0.707 0.592 0.818
O 0.182 0.610 0.104
S 0.793 0.408 0.318
O 0.575 0.995 0.078
O 0.075 0.505 0.422
O 0.210 0.250 0.508
Ba 0.295 0.750 0.452
O 0.818 0.110 0.896
O 0.677 0.098 0.447
S 0.207 0.592 0.682
O 0.134 0.750 0.326
S 0.812 0.489 0.408
Ba 0.205 0.250 0.952
S 0.989 0.750 0.677
S 0.207 0.908 0.682
O 0.075 0.995 0.422
Ba 0.705 0.250 0.548
O 0.790 0.750 0.492
O 0.818 0.390 0.896
S 0.688 0.511 0.908
O 0.290 0.750 0.008
O 0.182 0.890 0.104
O 0.425 0.495 0.922
S 0.511 0.250 0.177
O 0.823 0.598 0.947
O 0.425 0.005 0.922
O 0.323 0.902 0.553
S 0.489 0.750 0.823
O 0.677 0.402 0.447
S 0.293 0.408 0.182
O 0.634 0.750 0.174
O 0.710 0.250 0.992
S 0.011 0.250 0.323
O 0.866 0.250 0.674
Ba 0.795 0.750 0.048
S 0.188 0.511 0.592
O 0.925 0.495 0.578
O 0.682 0.890 0.396
O 0.823 0.902 0.947
S 0.793 0.092 0.318
S 0.293 0.092 0.182
O 0.318 0.390 0.604



VASP calculation (PBE) on Ba16S16O59 after structural relaxation.

Properties
The space group is P1, No. 1. The calculated formation energy is -2671 meV/atom. The value obtained for the total energy is -6.498 eV per atom. The value obtained for the energy with MP2020 corrections is -631.83 eV per formula unit. As for the total moment: 0.00 μB per cell.

Unit cell a=8.962 b=11.138 c=14.542 alpha=90.00 beta=90.06 gamma=90.02
Positions (direct):
S 0.952 0.125 0.838
O 0.928 0.234 0.401
O 0.578 0.486 0.154
O 0.928 0.516 0.401
O 0.319 0.631 0.479
O 0.413 0.017 0.846
O 0.578 0.764 0.154
O 0.087 0.625 0.807
O 0.405 0.374 0.057
Ba 0.322 0.620 0.681
S 0.452 0.625 0.914
O 0.817 0.625 0.773
O 0.173 0.874 0.233
O 0.931 0.015 0.401
O 0.181 0.881 0.730
O 0.818 0.625 0.271
O 0.588 0.126 0.443
O 0.582 0.267 0.153
O 0.084 0.984 0.099
O 0.320 0.119 0.479
Ba 0.179 0.376 0.429
S 0.435 0.123 0.405
O 0.674 0.869 0.020
Ba 0.185 0.864 0.924
O 0.082 0.765 0.099
Ba 0.689 0.365 0.825
O 0.410 0.232 0.346
O 0.914 0.516 0.906
O 0.085 0.986 0.596
S 0.560 0.375 0.594
O 0.427 0.734 0.850
O 0.407 0.375 0.556
O 0.674 0.381 0.020
S 0.435 0.125 0.906
S 0.559 0.874 0.094
O 0.905 0.875 0.192
Ba 0.693 0.374 0.329
Ba 0.685 0.885 0.820
O 0.572 0.766 0.651
Ba 0.816 0.626 0.082
O 0.173 0.376 0.232
O 0.581 0.484 0.654
O 0.085 0.483 0.598
Ba 0.694 0.876 0.331
O 0.176 0.369 0.730
O 0.414 0.014 0.345
O 0.405 0.876 0.057
S 0.952 0.126 0.336
S 0.559 0.376 0.094
S 0.065 0.877 0.656
O 0.582 0.983 0.152
O 0.080 0.264 0.597
O 0.907 0.376 0.694
O 0.914 0.734 0.905
O 0.905 0.375 0.192
O 0.081 0.485 0.098
S 0.059 0.875 0.158
O 0.928 0.015 0.902
S 0.060 0.373 0.657
Ba 0.321 0.130 0.674
S 0.548 0.874 0.586
O 0.318 0.126 0.978
S 0.935 0.625 0.845
O 0.815 0.125 0.773
O 0.579 0.265 0.654
S 0.435 0.627 0.405
O 0.816 0.125 0.272
O 0.685 0.876 0.523
O 0.931 0.734 0.400
O 0.568 0.985 0.650
O 0.414 0.234 0.846
O 0.428 0.515 0.850
O 0.588 0.625 0.443
O 0.090 0.767 0.597
Ba 0.812 0.120 0.575
Ba 0.322 0.125 0.170
Ba 0.817 0.124 0.074
Ba 0.320 0.625 0.169
O 0.928 0.235 0.902
O 0.084 0.266 0.098
Ba 0.178 0.875 0.427
O 0.912 0.874 0.693
S 0.059 0.375 0.157
O 0.587 0.125 0.944
Ba 0.813 0.630 0.574
O 0.410 0.518 0.346
O 0.316 0.625 0.979
O 0.677 0.374 0.522
O 0.415 0.736 0.345
S 0.953 0.624 0.336
Ba 0.185 0.385 0.924



VASP calculation (PBE) on BaSeS4O8 after structural relaxation.

Properties
The space group is Pnma, No. 62. The calculated formation energy is -1146 meV/atom. The value obtained for the total energy is -5.150 eV per atom. The value obtained for the energy with MP2020 corrections is -77.59 eV per formula unit. As for the total moment: 0.96 μB per cell.

Unit cell a=5.279 b=10.619 c=23.122 alpha=90.00 beta=90.00 gamma=90.00
Positions (direct):
S 0.792 0.416 0.322
S 0.314 0.010 0.090
Ba 0.782 0.750 0.043
O 0.725 0.250 0.003
O 0.083 0.995 0.423
O 0.821 0.391 0.902
O 0.828 0.250 0.665
Se 0.040 0.250 0.327
O 0.818 0.601 0.947
S 0.814 0.490 0.410
O 0.583 0.995 0.077
S 0.792 0.084 0.322
O 0.917 0.005 0.577
O 0.321 0.391 0.598
Se 0.460 0.750 0.827
S 0.292 0.416 0.178
Ba 0.282 0.750 0.457
O 0.672 0.750 0.165
O 0.275 0.750 0.997
O 0.682 0.101 0.447
O 0.182 0.399 0.053
O 0.583 0.505 0.077
O 0.328 0.250 0.835
O 0.318 0.601 0.553
Se 0.960 0.750 0.673
O 0.679 0.609 0.402
O 0.417 0.005 0.923
S 0.208 0.916 0.678
S 0.186 0.990 0.590
O 0.083 0.505 0.423
S 0.686 0.990 0.910
O 0.417 0.495 0.923
S 0.708 0.584 0.822
O 0.179 0.891 0.098
O 0.182 0.101 0.053
O 0.679 0.891 0.402
O 0.682 0.399 0.447
S 0.686 0.510 0.910
Ba 0.218 0.250 0.957
O 0.917 0.495 0.577
O 0.172 0.750 0.335
O 0.775 0.750 0.503
Ba 0.718 0.250 0.543
O 0.179 0.609 0.098
S 0.708 0.916 0.822
S 0.292 0.084 0.178
Se 0.540 0.250 0.173
S 0.208 0.584 0.678
O 0.318 0.899 0.553
O 0.818 0.899 0.947
O 0.821 0.109 0.902
O 0.321 0.109 0.598
O 0.225 0.250 0.497
S 0.314 0.490 0.090
S 0.814 0.010 0.410
S 0.186 0.510 0.590



VASP calculation (PBE) on Ba4Se4S16O31 after structural relaxation.

Properties
The space group is Pm, No. 6. The calculated formation energy is -1200 meV/atom. The value obtained for the total energy is -5.198 eV per atom. The value obtained for the energy with MP2020 corrections is -307.21 eV per formula unit. As for the total moment: 14.00 μB per cell.

Unit cell a=10.734 b=5.334 c=22.148 alpha=89.93 beta=90.00 gamma=90.00
Positions (direct):
S 0.336 0.812 0.318
Ba 0.500 0.704 0.544
Se 0.000 0.445 0.831
O 0.000 0.297 0.992
O 0.349 0.178 0.053
S 0.757 0.191 0.591
O 0.144 0.668 0.398
S 0.664 0.812 0.318
Se 0.000 0.946 0.669
Se 0.500 0.555 0.168
O 0.856 0.668 0.398
S 0.836 0.190 0.681
O 0.738 0.427 0.926
S 0.758 0.690 0.910
O 0.350 0.679 0.446
O 0.238 0.572 0.074
O 0.762 0.072 0.425
O 0.500 0.351 0.827
O 0.143 0.169 0.102
S 0.258 0.310 0.090
O 0.762 0.572 0.074
O 0.651 0.178 0.053
O 0.650 0.679 0.446
Se 0.500 0.054 0.330
S 0.164 0.190 0.681
S 0.336 0.313 0.182
Ba 0.000 0.794 0.046
Ba 0.000 0.294 0.455
O 0.267 0.929 0.575
S 0.836 0.688 0.818
S 0.664 0.313 0.182
O 0.643 0.337 0.603
S 0.742 0.310 0.090
O 0.262 0.427 0.926
O 0.857 0.169 0.102
S 0.258 0.810 0.409
O 0.733 0.929 0.575
S 0.164 0.688 0.818
O 0.500 0.701 0.009
O 0.643 0.831 0.898
O 0.357 0.831 0.898
O 0.500 0.205 0.495
Ba 0.500 0.207 0.953
O 0.152 0.318 0.553
O 0.357 0.337 0.603
S 0.243 0.191 0.591
O 0.151 0.822 0.947
O 0.849 0.822 0.947
S 0.242 0.690 0.910
O 0.238 0.072 0.425
O 0.848 0.318 0.553
S 0.742 0.810 0.409
O 0.000 0.648 0.175
O 0.000 0.148 0.325
O 0.000 0.796 0.508